Record 1
This record from the Materials Project database describes a relaxed structure of Na2Ca5TiSi4O16F2. The functional is GGA-PBE.

Properties
Magnetization   2.00 μB/f.u.
DFT formation energy   -3231 meV/atom
V   13.29 Å³/atom

Lattice parameters (Å, degrees): 7.4206 5.7265 19.1293 90.00 101.11 90.00
Space group P2_1 (No. 4)
Asymmetric unit:
Na 0.0042 0.0000 0.2493 x2
Na 0.4920 0.9976 0.2440 x2
Ca 0.1533 0.8472 0.0617 x2
Ca 0.1592 0.6642 0.5599 x2
Ca 0.2524 0.9977 0.7497 x2
Ca 0.3445 0.3447 0.9419 x2
Ca 0.3469 0.1581 0.4439 x2
Ti 0.2448 0.5329 0.2406 x2
Si 0.0397 0.6475 0.3919 x2
Si 0.1042 0.8489 0.8899 x2
Si 0.4008 0.1525 0.6115 x2
Si 0.4577 0.3532 0.1081 x2
O 0.0199 0.3685 0.1909 x2
O 0.0858 0.6010 0.9281 x2
O 0.0865 0.0683 0.9415 x2
O 0.0872 0.6262 0.3113 x2
O 0.0954 0.8937 0.4318 x2
O 0.1055 0.4283 0.4444 x2
O 0.1894 0.1308 0.6298 x2
O 0.2175 0.7901 0.1907 x2
O 0.2617 0.2382 0.3157 x2
O 0.3131 0.8619 0.8692 x2
O 0.3942 0.5787 0.0582 x2
O 0.4018 0.1125 0.0653 x2
O 0.4090 0.3608 0.1889 x2
O 0.4170 0.4016 0.5732 x2
O 0.4184 0.9353 0.5589 x2
O 0.4780 0.6361 0.3071 x2
F 0.2245 0.6603 0.6885 x2
F 0.2824 0.3336 0.8132 x2

=====

Record 2
This record from the Materials Project database describes a relaxed structure of Na4Ca4Ti4Si4O22F3. The functional is GGA-PBE.

Properties
Magnetization   3.00 μB/f.u.
DFT formation energy   -3178 meV/atom
V   13.05 Å³/atom

Lattice parameters (Å, degrees): 10.2432 10.2432 20.5626 90.00 97.20 90.00
Space group C2/c (No. 15)
Asymmetric unit:
Na 0.1143 0.0602 0.1962 x8
Na 0.1404 0.3150 0.3040 x8
Ca 0.0771 0.1902 0.5695 x8
Ca 0.1683 0.4348 0.9331 x8
Ti 0.1071 0.4373 0.6849 x8
Ti 0.1409 0.1893 0.8149 x8
Si 0.0699 0.2987 0.0840 x8
Si 0.1528 0.0761 0.4157 x8
O 0.0000 0.1281 0.7500 x4
O 0.0000 0.4980 0.7500 x4
O 0.0222 0.4344 0.1170 x8
O 0.0259 0.3130 0.8523 x8
O 0.0368 0.1877 0.3969 x8
O 0.0638 0.3118 0.0053 x8
O 0.0883 0.0592 0.8824 x8
O 0.1850 0.3130 0.7499 x8
O 0.1860 0.0623 0.4947 x8
O 0.2137 0.2427 0.1173 x8
O 0.2201 0.3679 0.6174 x8
O 0.2407 0.4368 0.2141 x8
F 0.0000 0.1872 0.2500 x4
F 0.2210 0.0616 0.6307 x8

=====

Record 3
This record from the Materials Project database describes a relaxed structure of Na2Ca5TiSi4O16F2. The functional is GGA-PBE.

Properties
Magnetization   2.00 μB/f.u.
DFT formation energy   -3232 meV/atom
V   13.55 Å³/atom

Lattice parameters (Å, degrees): 5.8096 7.4409 9.7861 78.94 78.57 89.95
Space group P1 (No. 1)
Asymmetric unit:
Na 0.0000 0.0000 0.0000 x1
Na 0.2200 0.9064 0.3652 x1
Ca 0.2056 0.4111 0.3598 x1
Ca 0.4894 0.7358 0.0117 x1
Ca 0.5011 0.2642 0.9898 x1
Ca 0.7879 0.0896 0.6340 x1
Ca 0.7901 0.5905 0.6379 x1
Ti 0.9966 0.4998 0.9959 x1
Si 0.2493 0.8527 0.7153 x1
Si 0.2516 0.2852 0.7203 x1
Si 0.7476 0.1471 0.2822 x1
Si 0.7485 0.7135 0.2775 x1
O 0.0569 0.8338 0.6197 x1
O 0.0788 0.3600 0.6130 x1
O 0.1661 0.3311 0.8814 x1
O 0.1921 0.7187 0.8752 x1
O 0.2129 0.0587 0.7570 x1
O 0.2470 0.4679 0.1048 x1
O 0.4706 0.6546 0.3199 x1
O 0.4756 0.1733 0.3550 x1
O 0.5248 0.8353 0.6450 x1
O 0.5316 0.3361 0.6732 x1
O 0.7500 0.5319 0.8951 x1
O 0.7815 0.9400 0.2441 x1
O 0.8058 0.2780 0.1222 x1
O 0.8340 0.6714 0.1154 x1
O 0.9084 0.6290 0.3886 x1
O 0.9233 0.1720 0.3869 x1
F 0.3148 0.9811 0.1040 x1
F 0.6918 0.0217 0.8838 x1

=====

Record 4
This record from the Materials Project database describes a relaxed structure of Na4CaZr2TiSi4O16F2. The functional is GGA-PBE.

Properties
Magnetization   0.00 μB/f.u.
DFT formation energy   -3297 meV/atom
V   12.53 Å³/atom

Lattice parameters (Å, degrees): 5.7233 7.1970 18.7373 90.00 103.02 90.00
Space group P2/c (No. 13)
Asymmetric unit:
Na 0.0000 0.1112 0.2500 x2
Na 0.2040 0.1125 0.0695 x4
Na 0.5000 0.3459 0.2500 x2
Ca 0.5000 0.1495 0.7500 x2
Zr 0.1992 0.3829 0.5747 x4
Ti 0.0000 0.3964 0.7500 x2
Si 0.2714 0.1172 0.8961 x4
Si 0.2791 0.3391 0.3951 x4
O 0.0773 0.1777 0.9434 x4
O 0.0998 0.4072 0.4484 x4
O 0.1808 0.4105 0.3107 x4
O 0.1951 0.1931 0.8114 x4
O 0.2262 0.3819 0.6845 x4
O 0.2641 0.1117 0.3908 x4
O 0.4421 0.4016 0.0772 x4
O 0.4491 0.1783 0.5696 x4
F 0.2942 0.0901 0.1907 x4

=====

Record 5
This record from the Materials Project database describes a relaxed structure of Na2CaZrSi2O7F2. The functional is GGA-PBE.

Properties
Magnetization   0.00 μB/f.u.
DFT formation energy   -3368 meV/atom
V   13.26 Å³/atom

Lattice parameters (Å, degrees): 7.3537 10.6088 10.2008 90.00 90.09 90.00
Space group P2_1/c (No. 14)
Asymmetric unit:
Na 0.1183 0.0721 0.3798 x4
Na 0.3718 0.5689 0.1244 x4
Ca 0.1261 0.7012 0.3941 x4
Zr 0.3743 0.1979 0.1090 x4
Si 0.0989 0.1203 0.8292 x4
Si 0.3453 0.6210 0.6669 x4
O 0.1246 0.6490 0.6657 x4
O 0.1395 0.5191 0.2774 x4
O 0.1625 0.1478 0.9820 x4
O 0.1674 0.2375 0.7346 x4
O 0.3832 0.0245 0.2109 x4
O 0.4118 0.6501 0.5171 x4
O 0.4209 0.7284 0.7685 x4
F 0.1292 0.6127 0.9851 x4
F 0.3755 0.1229 0.5157 x4

=====

Record 6
This record from the Materials Project database describes a relaxed structure of Na2Ca29ZrSi16O56F16. The functional is GGA-PBE.

Properties
Magnetization   0.00 μB/f.u.
DFT formation energy   -3055 meV/atom
V   14.75 Å³/atom

Lattice parameters (Å, degrees): 7.7503 11.3809 20.2255 85.42 84.59 88.57
Space group P1 (No. 1)
Asymmetric unit:
Na 0.0000 0.0000 0.0000 x1
Na 0.4797 0.5116 0.1417 x1
Ca 0.0263 0.9079 0.2870 x1
Ca 0.0417 0.4933 0.6539 x1
Ca 0.0555 0.9236 0.7980 x1
Ca 0.0605 0.5566 0.1907 x1
Ca 0.2028 0.2464 0.7511 x1
Ca 0.2141 0.8005 0.6092 x1
Ca 0.2386 0.2357 0.2187 x1
Ca 0.2504 0.7278 0.9452 x1
Ca 0.2600 0.3706 0.0248 x1
Ca 0.3166 0.7278 0.4099 x1
Ca 0.3422 0.2986 0.5174 x1
Ca 0.4253 0.4575 0.3305 x1
Ca 0.4393 0.9730 0.4800 x1
Ca 0.4693 0.3660 0.8550 x1
Ca 0.4708 0.0230 0.8811 x1
Ca 0.5008 0.7613 0.7771 x1
Ca 0.5320 0.5077 0.6869 x1
Ca 0.5431 0.9773 0.2737 x1
Ca 0.7227 0.8283 0.1235 x1
Ca 0.7284 0.2237 0.7075 x1
Ca 0.7333 0.2906 0.2339 x1
Ca 0.7646 0.7962 0.9236 x1
Ca 0.7682 0.3760 0.5281 x1
Ca 0.7918 0.2726 0.0203 x1
Ca 0.7932 0.9524 0.6211 x1
Ca 0.8206 0.7529 0.4531 x1
Ca 0.9128 0.4545 0.8844 x1
Ca 0.9586 0.1018 0.4799 x1
Ca 0.9853 0.3799 0.3585 x1
Zr 0.2707 0.8814 0.1021 x1
Si 0.0884 0.5012 0.4706 x1
Si 0.1163 0.6223 0.7997 x1
Si 0.1428 0.2401 0.9207 x1
Si 0.1682 0.1090 0.6079 x1
Si 0.3008 0.1468 0.3572 x1
Si 0.3808 0.7253 0.2118 x1
Si 0.3981 0.5709 0.5609 x1
Si 0.4120 0.9968 0.7076 x1
Si 0.5669 0.1146 0.1196 x1
Si 0.5943 0.5309 0.9688 x1
Si 0.6218 0.2165 0.4139 x1
Si 0.6534 0.6870 0.3157 x1
Si 0.8568 0.5184 0.0750 x1
Si 0.8594 0.1595 0.8417 x1
Si 0.8765 0.7272 0.6954 x1
Si 0.9244 0.0593 0.1614 x1
O 0.0282 0.8217 0.0770 x1
O 0.0601 0.6545 0.7181 x1
O 0.0613 0.3567 0.4772 x1
O 0.0863 0.9851 0.5895 x1
O 0.1143 0.0248 0.1251 x1
O 0.1238 0.1940 0.9979 x1
O 0.1640 0.7278 0.0666 x1
O 0.1907 0.5415 0.3982 x1
O 0.1960 0.3797 0.9103 x1
O 0.2054 0.5301 0.5326 x1
O 0.2134 0.7406 0.8180 x1
O 0.2211 0.8242 0.2110 x1
O 0.2335 0.1017 0.4334 x1
O 0.2341 0.0804 0.6882 x1
O 0.2402 0.2809 0.3339 x1
O 0.2596 0.0605 0.2993 x1
O 0.2785 0.1772 0.8664 x1
O 0.2863 0.5226 0.7716 x1
O 0.3099 0.5959 0.2381 x1
O 0.3669 0.9697 0.7881 x1
O 0.3873 0.5592 0.9781 x1
O 0.4153 0.8701 0.6739 x1
O 0.4568 0.5498 0.7968 x1
O 0.4577 0.7364 0.1328 x1
O 0.4908 0.6596 0.4925 x1
O 0.4945 0.9800 0.1162 x1
O 0.5089 0.4451 0.5615 x1
O 0.5114 0.2181 0.0663 x1
O 0.5257 0.1469 0.3553 x1
O 0.5351 0.3476 0.4202 x1
O 0.5384 0.1458 0.1979 x1
O 0.5446 0.7705 0.2511 x1
O 0.5575 0.7729 0.5139 x1
O 0.5843 0.1490 0.4885 x1
O 0.5900 0.0657 0.6854 x1
O 0.6272 0.3932 0.9484 x1
O 0.6647 0.5510 0.0437 x1
O 0.6797 0.2282 0.8238 x1
O 0.7089 0.6457 0.7147 x1
O 0.7201 0.6079 0.9134 x1
O 0.7349 0.4634 0.3052 x1
O 0.7566 0.9589 0.8456 x1
O 0.7805 0.0428 0.8992 x1
O 0.7860 0.5814 0.2685 x1
O 0.7915 0.1036 0.1014 x1
O 0.7919 0.7857 0.3315 x1
O 0.8285 0.9444 0.2030 x1
O 0.8298 0.2157 0.3913 x1
O 0.8455 0.1788 0.5838 x1
O 0.8593 0.8520 0.7308 x1
O 0.8958 0.5591 0.4830 x1
O 0.9245 0.7518 0.6156 x1
O 0.9332 0.2413 0.9016 x1
O 0.9520 0.1595 0.2120 x1
O 0.9645 0.4403 0.0194 x1
O 0.9708 0.1830 0.6367 x1
F 0.0227 0.3806 0.2443 x1
F 0.0391 0.8619 0.9168 x1
F 0.0747 0.8271 0.3875 x1
F 0.2268 0.8292 0.4990 x1
F 0.2281 0.4175 0.1316 x1
F 0.2339 0.3521 0.6507 x1
F 0.3188 0.9235 0.9951 x1
F 0.4678 0.3719 0.2307 x1
F 0.4677 0.8949 0.3805 x1
F 0.4769 0.3238 0.7377 x1
F 0.4898 0.8113 0.8915 x1
F 0.7194 0.8705 0.0171 x1
F 0.7621 0.3883 0.1282 x1
F 0.7859 0.4106 0.6419 x1
F 0.7952 0.9381 0.5013 x1
F 0.9833 0.3839 0.7578 x1